Record 1
A geometry-optimized LiCu2F7 structure, computed with PBE-GGA.

Geometry as POSCAR:
```
LiCu2F7
1.0
7.0592 0.0000 0.0000
0.0000 10.5705 0.0000
0.0000 0.0000 14.3525
Li Cu F
8 16 56
Direct
0.9059 0.0760 0.4897
0.0341 0.1137 0.9989
0.5341 0.3863 0.4989
0.4059 0.4240 0.9897
0.9059 0.5760 0.0103
0.0341 0.6137 0.5011
0.5341 0.8863 0.0011
0.4059 0.9240 0.5103
0.0230 0.0331 0.6829
0.5612 0.1812 0.0132
0.7050 0.2275 0.8214
0.7096 0.2351 0.3341
0.2096 0.2649 0.8341
0.2050 0.2725 0.3214
0.0612 0.3188 0.5132
0.5230 0.4669 0.1829
0.0230 0.5331 0.8171
0.5612 0.6812 0.4868
0.7050 0.7275 0.6786
0.7096 0.7351 0.1659
0.2096 0.7649 0.6659
0.2050 0.7725 0.1786
0.0612 0.8188 0.9868
0.5230 0.9669 0.3171
0.3753 0.0303 0.4109
0.4836 0.0351 0.0699
0.7387 0.0630 0.3893
0.6251 0.0885 0.9022
0.1841 0.1062 0.7707
0.7955 0.1033 0.7382
0.5932 0.1291 0.2448
0.2514 0.1446 0.2402
0.8104 0.1732 0.0589
0.1077 0.1755 0.4323
0.0013 0.1888 0.6010
0.2871 0.1968 0.9584
0.9566 0.2262 0.8849
0.9505 0.2403 0.2727
0.4505 0.2597 0.7727
0.4566 0.2738 0.3849
0.7871 0.3032 0.4584
0.5013 0.3112 0.1010
0.6077 0.3245 0.9323
0.3104 0.3268 0.5589
0.7514 0.3554 0.7402
0.0932 0.3709 0.7448
0.2955 0.3967 0.2382
0.6841 0.3938 0.2707
0.1251 0.4115 0.4022
0.2387 0.4370 0.8893
0.9836 0.4649 0.5699
0.8753 0.4697 0.9109
0.3753 0.5303 0.0891
0.4836 0.5351 0.4301
0.7387 0.5630 0.1107
0.6251 0.5885 0.5978
0.1841 0.6062 0.7293
0.7955 0.6033 0.7618
0.5932 0.6291 0.2552
0.2514 0.6446 0.2598
0.8104 0.6732 0.4411
0.1077 0.6755 0.0677
0.0013 0.6888 0.8990
0.2871 0.6968 0.5416
0.9566 0.7262 0.6151
0.9505 0.7403 0.2273
0.4505 0.7597 0.7273
0.4566 0.7738 0.1151
0.7871 0.8032 0.0416
0.5013 0.8112 0.3990
0.6077 0.8245 0.5677
0.3104 0.8268 0.9411
0.7514 0.8554 0.7598
0.0932 0.8709 0.7552
0.2955 0.8967 0.2618
0.6841 0.8938 0.2293
0.1251 0.9115 0.0978
0.2387 0.9370 0.6107
0.9836 0.9649 0.9301
0.8753 0.9697 0.5891
```

Formation energy ... -1.860 eV per atom
Total energy ... -3.888 eV per atom
Polymorph energy (0 for the lowest one) ... 67 meV/atom


Record 2
A geometry-optimized Pb8Cl4O7 structure, computed with PBE-GGA.

Geometry as POSCAR:
```
Pb8Cl4O7
1.0
-1.1147 -9.8516 9.4114
1.1456 -12.7206 4.8730
19.9336 0.6532 9.5146
Pb Cl O
32 16 28
Direct
0.7903 0.8569 0.1738
0.1431 0.2097 0.3262
0.2097 0.1431 0.8262
0.8569 0.7903 0.6738
0.4570 0.3942 0.1470
0.6058 0.5430 0.3530
0.5430 0.6058 0.8530
0.3942 0.4570 0.6470
0.3478 0.2979 0.0392
0.7021 0.6522 0.4608
0.6522 0.7021 0.9608
0.2979 0.3478 0.5392
0.8909 0.9608 0.0140
0.0392 0.1091 0.4860
0.1091 0.0392 0.9860
0.9608 0.8909 0.5140
0.6778 0.6702 0.2042
0.3298 0.3222 0.2958
0.3222 0.3298 0.7958
0.6702 0.6778 0.7042
0.0574 0.0907 0.2263
0.9093 0.9426 0.2737
0.9426 0.9093 0.7737
0.0907 0.0574 0.7263
0.1710 0.1747 0.0809
0.8253 0.8290 0.4191
0.8290 0.8253 0.9191
0.1747 0.1710 0.5809
0.5546 0.5923 0.1121
0.4077 0.4454 0.3879
0.4454 0.4077 0.8879
0.5923 0.5546 0.6121
0.5000 0.5000 0.0000
0.5000 0.5000 0.5000
0.4996 0.5004 0.2500
0.5004 0.4996 0.7500
0.2399 0.2437 0.1892
0.7563 0.7601 0.3108
0.7601 0.7563 0.8108
0.2437 0.2399 0.6892
0.2649 0.2518 0.9347
0.7482 0.7351 0.5653
0.7351 0.7482 0.0653
0.2518 0.2649 0.4347
0.0041 0.0058 0.1213
0.9942 0.9959 0.3787
0.9959 0.9942 0.8787
0.0058 0.0041 0.6213
0.6204 0.1298 0.0936
0.8702 0.3796 0.4064
0.3796 0.8702 0.9064
0.1298 0.6204 0.5936
0.6288 0.1231 0.2236
0.8769 0.3712 0.2764
0.3712 0.8769 0.7764
0.1231 0.6288 0.7236
0.6150 0.1370 0.9633
0.8630 0.3850 0.5367
0.3850 0.8630 0.0367
0.1370 0.6150 0.4633
0.3711 0.8760 0.1658
0.1240 0.6289 0.3342
0.6289 0.1240 0.8342
0.8760 0.3711 0.6658
0.8704 0.3768 0.1476
0.6232 0.1296 0.3524
0.1296 0.6232 0.8524
0.3768 0.8704 0.6476
0.0903 0.6464 0.9993
0.3536 0.9097 0.5007
0.9097 0.3536 0.0007
0.6464 0.0903 0.4993
0.1326 0.6108 0.1863
0.3892 0.8674 0.3137
0.8674 0.3892 0.8137
0.6108 0.1326 0.6863
```

Formation energy ... -1.322 eV per atom
Total energy ... -4.844 eV per atom


Record 3
A geometry-optimized CaP2H6O9 structure, computed with PBE-GGA.

Geometry as POSCAR:
```
CaP2H6O9
1.0
5.6616 0.0000 0.0000
-2.5792 5.7413 0.0000
-1.3818 -1.3054 11.8118
Ca P H O
2 4 12 18
Direct
0.9603 0.2271 0.8974
0.0397 0.7729 0.1026
0.4692 0.7231 0.9028
0.5308 0.2769 0.0972
0.7353 0.3874 0.6271
0.2647 0.6126 0.3729
0.5621 0.4588 0.8042
0.4380 0.5412 0.1958
0.3135 0.9349 0.7945
0.6865 0.0651 0.2055
0.3550 0.2865 0.5175
0.6450 0.7135 0.4825
0.9712 0.2960 0.5117
0.0288 0.7040 0.4883
0.9453 0.8592 0.6974
0.0547 0.1408 0.3026
0.1422 0.1138 0.6933
0.8578 0.8862 0.3067
0.2388 0.6587 0.9671
0.7612 0.3413 0.0329
0.7456 0.8278 0.9665
0.2544 0.1722 0.0335
0.4058 0.4839 0.8274
0.5942 0.5161 0.1726
0.4796 0.9149 0.8186
0.5204 0.0851 0.1814
0.7776 0.3974 0.7558
0.2224 0.6026 0.2442
0.4289 0.2396 0.5872
0.5711 0.7604 0.4128
0.8785 0.2414 0.5790
0.1215 0.7586 0.4210
0.8240 0.6267 0.5808
0.1760 0.3733 0.4192
0.0663 0.0025 0.7478
0.9337 0.9975 0.2522
```

Formation energy ... -2.148 eV per atom
Total energy ... -6.122 eV per atom


Record 4
A geometry-optimized USe2 structure, computed with PBE-GGA.

Geometry as POSCAR:
```
USe2
1.0
-0.7617 6.7874 3.5384
0.4054 -6.4710 4.1390
4.0600 0.3652 0.1734
U Se
3 6
Direct
0.0000 0.0000 0.0000
0.6667 0.3333 0.5000
0.3333 0.6667 0.5000
0.0000 0.5941 0.0000
0.4059 0.4059 0.0000
0.5941 0.0000 0.0000
0.2592 0.0000 0.5000
0.7408 0.7408 0.5000
0.0000 0.2592 0.5000
```

Formation energy ... -1.420 eV per atom
Total energy ... -7.199 eV per atom


Record 5
A geometry-optimized NbBr4 structure, computed with PBE-GGA.

Geometry as POSCAR:
```
NbBr4
1.0
4.9640 0.6966 -5.2859
5.3443 5.3694 0.7068
6.8633 -3.6780 0.9410
Nb Br
2 8
Direct
0.7835 0.0000 0.0000
0.2165 0.0000 0.0000
0.7959 0.2372 0.1709
0.2041 0.7628 0.8291
0.7327 0.7589 0.2949
0.7865 0.2411 0.7051
0.2673 0.2411 0.7051
0.2135 0.7589 0.2949
0.3247 0.2037 0.1469
0.6753 0.7963 0.8531
```

Formation energy ... -1.326 eV per atom
Total energy ... -4.229 eV per atom


Record 6
A geometry-optimized SrAgSb structure, computed with PBE-GGA.

Geometry as POSCAR:
```
SrAgSb
1.0
2.7625 -4.7847 0.0000
2.7625 4.7847 0.0000
0.0000 0.0000 6.5839
Sr Ag Sb
2 2 2
Direct
0.6667 0.3333 0.7500
0.3333 0.6667 0.2500
0.0000 0.0000 0.0000
0.0000 0.0000 0.5000
0.3333 0.6667 0.7500
0.6667 0.3333 0.2500
```

Formation energy ... -0.479 eV per atom
Total energy ... -3.298 eV per atom


Record 7
A geometry-optimized K2RbGaCl6 structure, computed with PBE-GGA.

Geometry as POSCAR:
```
K2RbGaCl6
1.0
-3.5715 -5.6790 3.8391
-5.4102 1.6941 5.2540
-7.4266 -1.5729 -1.4546
K Rb Ga Cl
2 1 1 6
Direct
0.7500 0.7500 0.7500
0.2500 0.2500 0.2500
0.5000 0.5000 0.5000
0.0000 0.0000 0.0000
0.7813 0.2187 0.2187
0.2187 0.2187 0.7813
0.2187 0.7813 0.7813
0.2187 0.7813 0.2187
0.7813 0.2187 0.7813
0.7813 0.7813 0.2187
```

Formation energy ... -1.917 eV per atom
Total energy ... -3.280 eV per atom


Record 8
A geometry-optimized Sm3NbO7 structure, computed with PBE-GGA.

Geometry as POSCAR:
```
Sm3NbO7
1.0
0.7365 6.1258 2.3470
-6.1984 -0.9663 -2.0548
-1.9458 -2.4577 7.0252
Sm Nb O
6 2 14
Direct
0.5171 0.0595 0.2500
0.9405 0.4829 0.7500
0.0000 0.0000 0.0000
0.0000 0.0000 0.5000
0.4829 0.9405 0.7500
0.0595 0.5171 0.2500
0.5000 0.5000 0.0000
0.5000 0.5000 0.5000
0.8881 0.1516 0.2500
0.8484 0.1119 0.7500
0.4364 0.1805 0.5325
0.8195 0.5636 0.0325
0.8195 0.5636 0.4675
0.4364 0.1805 0.9675
0.5699 0.5699 0.7500
0.4301 0.4301 0.2500
0.1805 0.4364 0.5325
0.1805 0.4364 0.9675
0.5636 0.8195 0.0325
0.5636 0.8195 0.4675
0.1516 0.8881 0.2500
0.1119 0.8484 0.7500
```

Formation energy ... -3.667 eV per atom
Total energy ... -8.583 eV per atom
Polymorph energy (0 for the lowest one) ... 17 meV/atom


Record 9
A geometry-optimized Nd2CdRh2 structure, computed with PBE-GGA.

Geometry as POSCAR:
```
Nd2CdRh2
1.0
7.5803 0.0000 0.0000
0.0000 7.5803 0.0000
0.0000 0.0000 3.9863
Nd Cd Rh
4 2 4
Direct
0.6703 0.1703 0.5000
0.3297 0.8297 0.5000
0.1703 0.3297 0.5000
0.8297 0.6703 0.5000
0.0000 0.0000 0.0000
0.5000 0.5000 0.0000
0.1316 0.6316 0.0000
0.8684 0.3684 0.0000
0.6316 0.8684 0.0000
0.3684 0.1316 0.0000
```

Formation energy ... -0.594 eV per atom
Total energy ... -5.631 eV per atom


Record 10
A geometry-optimized CaMn2S4 structure, computed with PBE-GGA.

Geometry as POSCAR:
```
CaMn2S4
1.0
-3.6240 3.8633 5.2805
3.6240 -3.8633 5.2805
3.6240 3.8633 -5.2805
Ca Mn S
2 4 8
Direct
0.0000 0.0000 0.0000
0.5000 0.0000 0.5000
0.5000 0.0000 0.0000
0.0000 0.5000 0.5000
0.5000 0.5000 0.5000
0.5000 0.5000 0.0000
0.3023 0.2583 0.0440
0.7282 0.2449 0.0167
0.7143 0.2583 0.4560
0.2718 0.2884 0.5167
0.2857 0.7417 0.5440
0.2718 0.7551 0.9833
0.7282 0.7116 0.4833
0.6977 0.7417 0.9560
```

Formation energy ... -1.205 eV per atom
Total energy ... -6.185 eV per atom
Polymorph energy (0 for the lowest one) ... 0 meV/atom


Record 11
A geometry-optimized Cs3SbF6 structure, computed with PBE-GGA.

Geometry as POSCAR:
```
Cs3SbF6
1.0
-4.7826 -8.2262 1.1881
-2.7749 7.1214 -0.5503
0.8447 1.5792 -7.4240
Cs Sb F
3 1 6
Direct
0.0000 0.0000 0.5000
0.5000 0.5000 0.0000
0.0000 0.5000 0.0000
0.0000 0.0000 0.0000
0.0558 0.2676 0.7849
0.9442 0.7324 0.2151
0.7891 0.7221 0.7936
0.2109 0.2779 0.2064
0.7936 0.0021 0.0670
0.2064 0.9979 0.9330
```

Formation energy ... -2.802 eV per atom
Total energy ... -4.355 eV per atom